(1)
Material: ThGaAu2
Method: DFT, meta-GGA r2SCAN
State: relaxed

## Properties
- E_form (eV/atom) = -0.621
- magnetization (μB per formula unit) = 0.00
- mass density (Mg/m³) = 13.31

a = 4.9694 Å, b = 4.9694 Å, c = 4.9694 Å
α = 60.00°, β = 60.00°, γ = 60.00°
With the nearest neighbours (Å) after each atom.
Fractional positions:
1 Th 0.0000 0.0000 0.0000  8 Au 3.04
2 Ga 0.5000 0.5000 0.5000  8 Au 3.04
3 Au 0.2500 0.2500 0.2500  4 Ga 3.04, 4 Th 3.04
4 Au 0.7500 0.7500 0.7500  4 Ga 3.04, 4 Th 3.04

(2)
Material: TmGaAu
Method: DFT, meta-GGA r2SCAN
State: relaxed

## Properties
- E_form (eV/atom) = -0.882
- magnetization (μB per formula unit) = 0.00
- mass density (Mg/m³) = 12.13

a = 5.6105 Å, b = 5.6105 Å, c = 6.9805 Å
α = 127.47°, β = 127.47°, γ = 46.41°
With the nearest neighbours (Å) after each atom.
Fractional positions:
1 Tm 0.0364 0.0364 0.2963  6 Au 3.00-3.21, 6 Ga 3.06-3.22
2 Tm 0.9636 0.9636 0.7037  6 Au 3.00-3.21, 6 Ga 3.06-3.22
3 Ga 0.3421 0.3421 0.8926  1 Ga 2.53, 2 Au 2.56
4 Ga 0.6579 0.6579 0.1074  1 Ga 2.53, 2 Au 2.56
5 Au 0.3230 0.3230 0.2860  2 Ga 2.56, 1 Au 2.79
6 Au 0.6770 0.6770 0.7140  2 Ga 2.56, 1 Au 2.79

(3)
Material: UGaAu
Method: DFT, meta-GGA r2SCAN
State: relaxed

## Properties
- E_form (eV/atom) = -0.466
- magnetization (μB per formula unit) = 3.13
- mass density (Mg/m³) = 14.12

a = 4.8257 Å, b = 4.8257 Å, c = 5.8883 Å
α = 90.00°, β = 90.00°, γ = 120.00°
With the nearest neighbours (Å) after each atom.
Fractional positions:
1 U 0.0000 0.0000 0.0000  2 U 2.94, 6 Ga 3.15, 6 Au 3.15
2 U 0.0000 0.0000 0.5000  2 U 2.94, 6 Ga 3.15, 6 Au 3.15
3 Ga 0.3333 0.6667 0.2500  5 Au 2.79-2.94
4 Ga 0.6667 0.3333 0.7500  5 Au 2.79-2.94
5 Au 0.3333 0.6667 0.7500  5 Ga 2.79-2.94
6 Au 0.6667 0.3333 0.2500  5 Ga 2.79-2.94

(4)
Material: UGaAu
Method: DFT, meta-GGA r2SCAN
State: relaxed

## Properties
- E_form (eV/atom) = -0.455
- magnetization (μB per formula unit) = 2.97
- mass density (Mg/m³) = 14.15

a = 5.6438 Å, b = 5.6438 Å, c = 5.6438 Å
α = 129.32°, β = 117.18°, γ = 84.81°
With the nearest neighbours (Å) after each atom.
Fractional positions:
1 U 0.2354 0.0000 0.2354  1 U 2.77
2 U 0.7646 0.0000 0.7646  1 U 2.77
3 Ga 0.3392 0.3392 0.0000  1 Ga 2.68, 4 Au 2.77-2.94
4 Ga 0.6608 0.6608 0.0000  1 Ga 2.68, 4 Au 2.77-2.94
5 Au 0.1755 0.6755 0.5000  4 Ga 2.77-2.94, 1 Au 2.93
6 Au 0.8245 0.3245 0.5000  4 Ga 2.77-2.94, 1 Au 2.93

(5)
Material: YGaAu
Method: DFT, meta-GGA r2SCAN
State: relaxed

## Properties
- E_form (eV/atom) = -0.898
- magnetization (μB per formula unit) = 0.00
- mass density (Mg/m³) = 9.55

a = 5.6811 Å, b = 5.6811 Å, c = 7.1207 Å
α = 127.79°, β = 127.79°, γ = 46.19°
With the nearest neighbours (Å) after each atom.
Fractional positions:
1 Y 0.0371 0.0371 0.2970  6 Au 3.05-3.25, 6 Ga 3.09-3.27
2 Y 0.9629 0.9629 0.7030  6 Au 3.05-3.25, 6 Ga 3.09-3.27
3 Ga 0.3420 0.3420 0.8939  1 Ga 2.56, 2 Au 2.58
4 Ga 0.6580 0.6580 0.1061  1 Ga 2.56, 2 Au 2.58
5 Au 0.3231 0.3231 0.2837  2 Ga 2.58, 1 Au 2.83
6 Au 0.6769 0.6769 0.7163  2 Ga 2.58, 1 Au 2.83

(6)
Material: YbGaAu2
Method: DFT, meta-GGA r2SCAN
State: relaxed

## Properties
- E_form (eV/atom) = -0.707
- magnetization (μB per formula unit) = 0.00
- mass density (Mg/m³) = 13.99

a = 4.7460 Å, b = 4.7460 Å, c = 4.7460 Å
α = 60.00°, β = 60.00°, γ = 60.00°
With the nearest neighbours (Å) after each atom.
Fractional positions:
1 Yb 0.0000 0.0000 0.0000  8 Au 2.91
2 Ga 0.5000 0.5000 0.5000  8 Au 2.91
3 Au 0.2500 0.2500 0.2500  4 Ga 2.91, 4 Yb 2.91
4 Au 0.7500 0.7500 0.7500  4 Ga 2.91, 4 Yb 2.91

(7)
Material: YbGa3Au
Method: DFT, meta-GGA r2SCAN
State: relaxed

## Properties
- E_form (eV/atom) = -0.554
- magnetization (μB per formula unit) = 0.00
- mass density (Mg/m³) = 10.31

a = 6.3355 Å, b = 6.3355 Å, c = 6.3355 Å
α = 142.59°, β = 142.59°, γ = 53.95°
With the nearest neighbours (Å) after each atom.
Fractional positions:
1 Yb 0.0000 0.0000 0.0000  8 Ga 3.09-3.39, 4 Au 3.16
2 Ga 0.2593 0.7593 0.5000  6 Ga 2.58-2.87, 2 Au 2.59
3 Ga 0.3995 0.3995 0.0000  1 Au 2.45, 4 Ga 2.58
4 Ga 0.7593 0.2593 0.5000  6 Ga 2.58-2.87, 2 Au 2.59
5 Au 0.6165 0.6165 0.0000  5 Ga 2.45-2.59

(8)
Material: ZrGaAu
Method: DFT, meta-GGA r2SCAN
State: relaxed

## Properties
- E_form (eV/atom) = -0.691
- magnetization (μB per formula unit) = 0.00
- mass density (Mg/m³) = 10.69

a = 4.3423 Å, b = 4.3423 Å, c = 6.8067 Å
α = 90.00°, β = 90.00°, γ = 120.00°
With the nearest neighbours (Å) after each atom.
Fractional positions:
1 Zr 0.0000 0.0000 0.0000  6 Ga 2.89, 6 Au 3.19
2 Zr 0.0000 0.0000 0.5000  6 Au 2.89, 6 Ga 3.18
3 Ga 0.6667 0.3333 0.2115  3 Au 2.56
4 Ga 0.6667 0.3333 0.7885  3 Au 2.56
5 Au 0.3333 0.6667 0.2886  3 Ga 2.56
6 Au 0.3333 0.6667 0.7114  3 Ga 2.56

(9)
Material: GdInAu
Method: DFT, meta-GGA r2SCAN
State: relaxed

## Properties
- E_form (eV/atom) = -0.827
- magnetization (μB per formula unit) = 7.25
- mass density (Mg/m³) = 11.14

a = 7.7169 Å, b = 7.7169 Å, c = 4.0660 Å
α = 90.00°, β = 90.00°, γ = 120.00°
With the nearest neighbours (Å) after each atom.
Fractional positions:
1 Gd 0.0000 0.4074 0.0000  5 Au 3.10-3.14, 6 In 3.29-3.42
2 Gd 0.4074 0.0000 0.0000  5 Au 3.10-3.14, 6 In 3.29-3.42
3 Gd 0.5926 0.5926 0.0000  5 Au 3.10-3.14, 6 In 3.29-3.42
4 In 0.0000 0.7431 0.5000  4 Au 2.84-2.91
5 In 0.2569 0.2569 0.5000  4 Au 2.84-2.91
6 In 0.7431 0.0000 0.5000  4 Au 2.84-2.91
7 Au 0.0000 0.0000 0.0000  6 In 2.84, 3 Gd 3.14
8 Au 0.3333 0.6667 0.5000  3 In 2.91, 6 Gd 3.10
9 Au 0.6667 0.3333 0.5000  3 In 2.91, 6 Gd 3.10

(10)
Material: Gd4Au2O9
Method: DFT, meta-GGA r2SCAN
State: relaxed

## Properties
- E_form (eV/atom) = -2.634
- magnetization (μB per formula unit) = 0.00
- mass density (Mg/m³) = 9.36

a = 11.7794 Å, b = 5.9663 Å, c = 11.7782 Å
α = 90.00°, β = 90.00°, γ = 90.00°
With the nearest neighbours (Å) after each atom.
Fractional positions:
1 Gd 0.0109 0.2412 0.0904  7 O 2.29-2.50
2 Gd 0.0109 0.7588 0.5904  7 O 2.29-2.50
3 Gd 0.1587 0.1978 0.7640  7 O 2.29-2.55
4 Gd 0.1587 0.8022 0.2640  7 O 2.29-2.55
5 Gd 0.3413 0.3022 0.2640  7 O 2.29-2.55
6 Gd 0.3413 0.6978 0.7640  7 O 2.29-2.55
7 Gd 0.4891 0.2588 0.5904  7 O 2.29-2.50
8 Gd 0.4891 0.7412 0.0904  7 O 2.29-2.50
9 Gd 0.5109 0.2588 0.9096  7 O 2.29-2.50
10 Gd 0.5109 0.7412 0.4096  7 O 2.29-2.50
11 Gd 0.6587 0.3022 0.2360  7 O 2.29-2.55
12 Gd 0.6587 0.6978 0.7360  7 O 2.29-2.55
13 Gd 0.8413 0.1978 0.7360  7 O 2.29-2.55
14 Gd 0.8413 0.8022 0.2360  7 O 2.29-2.55
15 Gd 0.9891 0.2412 0.4096  7 O 2.29-2.50
16 Gd 0.9891 0.7588 0.9096  7 O 2.29-2.50
17 Au 0.2283 0.4198 0.5109  4 O 1.98-2.04
18 Au 0.2283 0.5802 0.0109  4 O 1.98-2.04
19 Au 0.2717 0.0802 0.0109  4 O 1.98-2.04
20 Au 0.2717 0.9198 0.5109  4 O 1.98-2.04
21 Au 0.7283 0.0802 0.4891  4 O 1.98-2.04
22 Au 0.7283 0.9198 0.9891  4 O 1.98-2.04
23 Au 0.7717 0.4198 0.9891  4 O 1.98-2.04
24 Au 0.7717 0.5802 0.4891  4 O 1.98-2.04
25 O 0.0000 0.0230 0.2500  4 Gd 2.29
26 O 0.0000 0.9770 0.7500  4 Gd 2.29
27 O 0.0757 0.3872 0.5891  1 Au 2.03
28 O 0.0757 0.6128 0.0891  1 Au 2.03
29 O 0.1141 0.0624 0.9458  1 Au 2.01
30 O 0.1141 0.9376 0.4458  1 Au 2.01
31 O 0.1628 0.4390 0.3507  1 Au 2.04
32 O 0.1628 0.5610 0.8507  1 Au 2.04
33 O 0.1969 0.1271 0.1597  1 Au 1.98
34 O 0.1969 0.8729 0.6597  1 Au 1.98
35 O 0.3031 0.3729 0.6597  1 Au 1.98
36 O 0.3031 0.6271 0.1597  1 Au 1.98
37 O 0.3372 0.0610 0.8507  1 Au 2.04
38 O 0.3372 0.9390 0.3507  1 Au 2.04
39 O 0.3859 0.4376 0.4458  1 Au 2.01
40 O 0.3859 0.5624 0.9458  1 Au 2.01
41 O 0.4243 0.1128 0.0891  1 Au 2.03
42 O 0.4243 0.8872 0.5891  1 Au 2.03
43 O 0.5000 0.4770 0.7500  4 Gd 2.29
44 O 0.5000 0.5230 0.2500  4 Gd 2.29
45 O 0.5757 0.1128 0.4109  1 Au 2.03
46 O 0.5757 0.8872 0.9109  1 Au 2.03
47 O 0.6141 0.4376 0.0542  1 Au 2.01
48 O 0.6141 0.5624 0.5542  1 Au 2.01
49 O 0.6628 0.0610 0.6493  1 Au 2.04
50 O 0.6628 0.9390 0.1493  1 Au 2.04
51 O 0.6969 0.3729 0.8403  1 Au 1.98
52 O 0.6969 0.6271 0.3403  1 Au 1.98
53 O 0.8031 0.1271 0.3403  1 Au 1.98
54 O 0.8031 0.8729 0.8403  1 Au 1.98
55 O 0.8372 0.4390 0.1493  1 Au 2.04
56 O 0.8372 0.5610 0.6493  1 Au 2.04
57 O 0.8859 0.0624 0.5542  1 Au 2.01
58 O 0.8859 0.9376 0.0542  1 Au 2.01
59 O 0.9243 0.3872 0.9109  1 Au 2.03
60 O 0.9243 0.6128 0.4109  1 Au 2.03

(11)
Material: Gd3AuO6
Method: DFT, meta-GGA r2SCAN
State: relaxed

## Properties
- E_form (eV/atom) = -2.926
- magnetization (μB per formula unit) = 21.00
- mass density (Mg/m³) = 8.99

a = 3.6646 Å, b = 5.5927 Å, c = 7.0727 Å
α = 90.40°, β = 102.83°, γ = 91.18°
With the nearest neighbours (Å) after each atom.
Fractional positions:
1 Gd 0.0000 0.0000 0.0000  6 O 2.32-2.33
2 Gd 0.3897 0.4706 0.7345  6 O 2.25-2.39
3 Gd 0.6103 0.5294 0.2655  6 O 2.25-2.39
4 Au 0.0000 0.0000 0.5000  4 O 2.00-2.02
5 O 0.1278 0.7959 0.2912  1 Au 2.00
6 O 0.1593 0.3071 0.3886  1 Au 2.02
7 O 0.4805 0.7439 0.9755  4 Gd 2.25-2.34
8 O 0.5195 0.2561 0.0245  4 Gd 2.25-2.34
9 O 0.8407 0.6929 0.6114  1 Au 2.02
10 O 0.8722 0.2041 0.7088  1 Au 2.00

(12)
Material: GdPbAu
Method: DFT, meta-GGA r2SCAN
State: relaxed

## Properties
- E_form (eV/atom) = -0.783
- magnetization (μB per formula unit) = 7.02
- mass density (Mg/m³) = 11.64

a = 4.8390 Å, b = 4.8390 Å, c = 4.8390 Å
α = 60.00°, β = 60.00°, γ = 60.00°
With the nearest neighbours (Å) after each atom.
Fractional positions:
1 Gd 0.0000 0.0000 0.0000  4 Au 2.96
2 Pb 0.5000 0.5000 0.5000  4 Au 2.96
3 Au 0.7500 0.7500 0.7500  4 Pb 2.96, 4 Gd 2.96